Record 1
36
Lattice="7.3421 0.0000 0.0000 0.0000 7.6001 0.0000 0.0000 0.0000 14.3730" Properties=species:S:1:pos:R:3 comment="Er5Si4, optimized geometry, DFT meta-GGA r2SCAN" total_magnetization_mub_per_fu=0.02 delta_e_f_ev_per_atom=-0.82 spacegroup="Pnma, No. 62" pbc="T T T"
Er 0.2116 6.2138 1.4229
Er 1.3408 2.4353 1.7715
Er 3.4595 2.4139 8.6093
Er 4.7560 0.0812 10.7798
Er 6.2571 3.8813 3.5932
Er 3.8826 5.1863 5.7638
Er 1.0850 3.7188 10.7798
Er 0.2115 6.2139 5.7637
Er 7.1306 1.3862 8.6093
Er 1.3409 2.4353 5.4149
Er 6.0013 5.1648 12.6014
Er 5.0119 1.3648 5.4149
Er 6.0013 5.1649 8.9582
Er 2.5861 7.5189 3.5932
Er 3.8826 5.1863 1.4229
Er 5.0119 1.3647 1.7715
Er 2.3302 6.2353 8.9582
Er 3.4595 2.4138 12.9501
Er 7.1305 1.3863 12.9501
Er 2.3302 6.2354 12.6014
Si 5.6285 2.8162 10.7796
Si 2.5919 0.2163 0.5737
Si 1.7136 4.7839 3.5934
Si 7.1986 0.7970 3.5934
Si 4.7501 7.3838 13.7993
Si 5.3847 6.6163 3.5934
Si 4.7501 7.3837 7.7601
Si 1.0791 4.0164 13.7993
Si 2.5919 0.2164 6.6128
Si 6.2630 3.5837 0.5738
Si 1.9574 0.9838 10.7796
Si 1.0791 4.0164 7.7601
Si 6.2630 3.5837 6.6128
Si 0.1435 6.8031 10.7796
Si 3.8145 4.5971 10.7796
Si 3.5276 3.0031 3.5934



Record 2
4
Lattice="-2.5071 2.5071 4.9800 2.5071 -2.5071 4.9800 2.5071 2.5071 -4.9800" Properties=species:S:1:pos:R:3 comment="SmEr3, optimized geometry, DFT meta-GGA r2SCAN" total_magnetization_mub_per_fu=0.00 de_polymorph_mev_per_atom=37 delta_e_f_ev_per_atom=0.06 spacegroup="I4/mmm, No. 139" pbc="T T T"
Er 0.0000 0.0000 4.9800
Er 0.0000 2.5071 2.4900
Er 2.5071 0.0000 2.4900
Sm 0.0000 0.0000 0.0000



Record 3
8
Lattice="-0.7992 3.4339 6.4355 3.5489 -6.4148 -0.3200 5.0383 2.8316 -0.8852" Properties=species:S:1:pos:R:3 comment="Sm3Er, optimized geometry, DFT meta-GGA r2SCAN" total_magnetization_mub_per_fu=2.37 de_polymorph_mev_per_atom=0 delta_e_f_ev_per_atom=0.01 spacegroup="P6_3/mmc, No. 194" pbc="T T T"
Sm 4.1087 2.2004 1.4594
Sm 4.0729 -4.0408 0.6016
Sm 5.4629 0.7323 4.4713
Sm 3.6793 -2.3496 3.7709
Sm 2.3251 -0.8816 0.7592
Sm 3.7151 3.8915 4.6288
Er 5.8783 -1.0082 1.2680
Er 1.9097 0.8589 3.9624



Record 4
4
Lattice="5.0921 0.0000 0.0000 0.0000 5.0921 0.0000 0.0000 0.0000 5.0920" Properties=species:S:1:pos:R:3 comment="Sm3Er, optimized geometry, DFT meta-GGA r2SCAN" total_magnetization_mub_per_fu=0.33 de_polymorph_mev_per_atom=23 delta_e_f_ev_per_atom=0.04 spacegroup="Pm-3m, No. 221" pbc="T T T"
Sm 2.5461 5.0921 2.5460
Sm 5.0921 2.5460 2.5460
Sm 2.5461 2.5460 0.0000
Er 5.0921 0.0001 0.0001



Record 5
8
Lattice="7.2452 0.0000 0.0000 -3.6226 6.2745 0.0000 0.0000 0.0000 5.5854" Properties=species:S:1:pos:R:3 comment="SmEr3, optimized geometry, DFT meta-GGA r2SCAN" total_magnetization_mub_per_fu=0.00 de_polymorph_mev_per_atom=0 delta_e_f_ev_per_atom=0.02 spacegroup="P6_3/mmc, No. 194" pbc="T T T"
Er 3.6226 4.2061 4.1890
Er 1.7912 1.0342 4.1890
Er -1.8313 5.2404 1.3963
Er 0.0000 2.0683 1.3963
Er 5.4539 1.0342 4.1890
Er 1.8314 5.2404 1.3963
Sm 3.6226 2.0914 1.3963
Sm 0.0000 4.1829 4.1890



Record 6
4
Lattice="0.0000 3.7914 3.7914 3.7914 0.0000 3.7914 3.7914 3.7914 0.0000" Properties=species:S:1:pos:R:3 comment="SmErTl2, optimized geometry, DFT meta-GGA r2SCAN" total_magnetization_mub_per_fu=0.00 delta_e_f_ev_per_atom=-0.44 spacegroup="Fm-3m, No. 225" pbc="T T T"
Er 1.8957 1.8957 1.8957
Tl 0.0000 0.0000 0.0000
Tl 3.7914 3.7914 3.7914
Sm 5.6870 5.6870 5.6870



Record 7
4
Lattice="-1.6935 -4.7472 -0.2645 -3.2710 -1.7080 3.4434 -4.7928 -0.9008 -1.3007" Properties=species:S:1:pos:R:3 comment="SmErZn2, optimized geometry, DFT meta-GGA r2SCAN" total_magnetization_mub_per_fu=0.44 delta_e_f_ev_per_atom=-0.36 spacegroup="Fm-3m, No. 225" pbc="T T T"
Sm -7.3180 -5.5170 1.4086
Er -2.4393 -1.8390 0.4695
Zn -4.8787 -3.6780 0.9391
Zn 0.0000 0.0000 0.0000



Record 8
6
Lattice="4.2969 0.0000 0.0000 0.0000 4.2147 -1.1404 0.0000 0.0354 8.4892" Properties=species:S:1:pos:R:3 comment="ErSn2, optimized geometry, DFT meta-GGA r2SCAN" total_magnetization_mub_per_fu=0.00 delta_e_f_ev_per_atom=-0.59 spacegroup="Cmcm, No. 63" pbc="T T T"
Sn 1.0742 2.3718 0.4070
Sn 3.2227 1.8783 6.9418
Sn 1.0742 1.0782 3.9848
Sn 3.2227 3.1719 3.3640
Er 1.0742 3.8211 5.7634
Er 3.2227 0.4290 1.5853